Crystalline Na8Ca3ZrSi3S3O24 at its relaxed geometry. Source: Materials Project, functional PBE-GGA.

abc: 9.5058 9.5063 23.1721
angles: 90.08 89.85 119.88
Sites, in units of the cell vectors:
Na1 0.6292 0.9956 0.2645
Na2 0.3715 0.3688 0.2392
Na3 0.0006 0.6239 0.2536
Na4 0.6430 0.6610 0.7283
Na5 0.9695 0.3293 0.7538
Na6 0.3856 0.0126 0.7354
Na7 0.3266 0.3358 0.5828
Na8 0.0470 0.7247 0.5660
Na9 0.6459 0.9391 0.5800
Na10 0.2762 0.9527 0.0694
Na11 0.6618 0.6719 0.0848
Na12 0.0633 0.3591 0.0734
Na13 0.0040 0.6811 0.9243
Na14 0.7123 0.0497 0.9030
Na15 0.2983 0.2818 0.9246
Na16 0.9627 0.3103 0.4159
Na17 0.3242 0.9898 0.4286
Na18 0.7133 0.6988 0.4326
Na19 0.9891 0.9743 0.5010
Na20 0.0288 0.0153 0.9998
Na21 0.6668 0.3024 0.8336
Na22 0.6842 0.3331 0.3459
Na23 0.3112 0.6468 0.1538
Na24 0.3644 0.6968 0.6527
Ca1 0.9978 0.9949 0.3516
Ca2 0.9981 0.0040 0.8485
Ca3 0.9846 0.9875 0.6471
Ca4 0.0067 0.9991 0.1436
Ca5 0.6621 0.3288 0.6793
Ca6 0.6687 0.3393 0.1784
Ca7 0.3270 0.6659 0.0144
Ca8 0.3401 0.6767 0.5125
Ca9 0.3301 0.6784 0.3292
Zr1 0.6685 0.3369 0.9838
Zr2 0.6608 0.3308 0.4871
Zr3 0.3310 0.6787 0.8220
Si1 0.6852 0.9923 0.7539
Si2 0.3597 0.0302 0.5856
Si3 0.6635 0.6318 0.5859
Si4 0.9670 0.6341 0.0850
Si5 0.3687 0.3366 0.0851
Si6 0.0286 0.3665 0.9183
Si7 0.3394 0.9788 0.9211
Si8 0.6463 0.9853 0.4154
Si9 0.0138 0.6567 0.4161
S1 0.3050 0.9979 0.2492
S2 0.6920 0.6959 0.2495
S3 0.0027 0.3022 0.2488
S4 0.3050 0.3152 0.7529
S5 0.0078 0.6951 0.7536
S6 0.9642 0.3333 0.5829
S7 0.6692 0.0400 0.0824
S8 0.6272 0.6580 0.9169
S9 0.3409 0.3625 0.4157
O1 0.2238 0.0146 0.3016
O2 0.7898 0.7848 0.3007
O3 0.9981 0.2103 0.3013
O4 0.2252 0.2123 0.8045
O5 0.9900 0.7724 0.8065
O6 0.7880 0.0096 0.8117
O7 0.7633 0.9572 0.6963
O8 0.2068 0.2383 0.7004
O9 0.0324 0.7966 0.7023
O10 0.7709 0.7891 0.1961
O11 0.0074 0.2152 0.1961
O12 0.2103 0.9892 0.1972
O13 0.8948 0.3542 0.6373
O14 0.4576 0.1107 0.6449
O15 0.6612 0.5446 0.6464
O16 0.8894 0.5365 0.1448
O17 0.6480 0.1106 0.1364
O18 0.4564 0.3426 0.1459
O19 0.4833 0.3270 0.0297
O20 0.8488 0.5172 0.0289
O21 0.6790 0.1444 0.0316
O22 0.4761 0.1467 0.5303
O23 0.6672 0.5155 0.5316
O24 0.8587 0.3233 0.5327
O25 0.5611 0.6857 0.9702
O26 0.1369 0.4435 0.9751
O27 0.3189 0.8774 0.9788
O28 0.5601 0.8573 0.4678
O29 0.3154 0.4397 0.4669
O30 0.1316 0.6784 0.4700
O31 0.0798 0.6167 0.3557
O32 0.5396 0.9161 0.3557
O33 0.3640 0.4604 0.3627
O34 0.1324 0.4901 0.8618
O35 0.3571 0.8689 0.8658
O36 0.5195 0.6425 0.8666
O37 0.9984 0.8217 0.4146
O38 0.8359 0.0267 0.4117
O39 0.2015 0.1954 0.4098
O40 0.9974 0.1827 0.9122
O41 0.1792 0.9966 0.9127
O42 0.7955 0.7916 0.9081
O43 0.9696 0.1795 0.5832
O44 0.1885 0.0342 0.5805
O45 0.8274 0.8105 0.5774
O46 0.9608 0.8040 0.0782
O47 0.8238 0.0358 0.0828
O48 0.1885 0.1737 0.0776
O49 0.6679 0.1573 0.7517
O50 0.4728 0.3392 0.7491
O51 0.8681 0.5281 0.7487
O52 0.6788 0.5315 0.2495
O53 0.8525 0.3173 0.2497
O54 0.4739 0.1413 0.2473
O55 0.6286 0.5000 0.9192
O56 0.8499 0.3638 0.9198
O57 0.5116 0.1579 0.9199
O58 0.6541 0.1643 0.4258
O59 0.4921 0.3501 0.4224
O60 0.8276 0.4965 0.4261
O61 0.3635 0.5059 0.0810
O62 0.1522 0.6656 0.0813
O63 0.5303 0.8737 0.0761
O64 0.3316 0.8462 0.5811
O65 0.4951 0.6390 0.5815
O66 0.1301 0.4734 0.5754
O67 0.3161 0.8457 0.2513
O68 0.5242 0.6733 0.2531
O69 0.1516 0.4675 0.2490
O70 0.3184 0.4790 0.7596
O71 0.1609 0.6808 0.7585
O72 0.4968 0.8230 0.7594

Calculated total energy in eV per cell: -803.9
Energy of formation from the pure elements in meV per atom: -2663